Entry 1:
# Te2MoWSeS

A relaxed structure of Te2MoWSeS (GGA-PBE, Materials Project).

Values from the calculation:
* total magnetization: 0.0000 μB/atom
* electronic total energy: -6.689 eV/atom
* calculated formation energy: -485 meV/atom
* symmetry: P3m1

a b c (Å): 3.396 3.396 38.804
angles (deg): 90.00 90.00 120.00
Atoms (fractional coordinates):
1 Te 0.000 0.000 0.000
2 Te 0.000 0.000 0.096
3 Te 0.333 0.667 0.188
4 Te 0.333 0.667 0.285
5 Mo 0.000 0.000 0.860
6 Mo 0.333 0.667 0.048
7 W 0.000 0.000 0.236
8 W 0.333 0.667 0.424
9 Se 0.333 0.667 0.818
10 Se 0.333 0.667 0.903
11 S 0.000 0.000 0.385
12 S 0.000 0.000 0.463

---

Entry 2:
# Te2MoWSeS

A relaxed structure of Te2MoWSeS (GGA-PBE, Materials Project).

Values from the calculation:
* total magnetization: 0.0000 μB/atom
* electronic total energy: -6.709 eV/atom
* calculated formation energy: -506 meV/atom
* symmetry: P3m1

a b c (Å): 3.394 3.394 38.807
angles (deg): 90.00 90.00 120.00
Atoms (fractional coordinates):
1 Te 0.000 0.000 0.000
2 Te 0.000 0.000 0.097
3 Te 0.000 0.000 0.376
4 Te 0.000 0.000 0.472
5 Mo 0.667 0.333 0.048
6 Mo 0.667 0.333 0.424
7 W 0.000 0.000 0.236
8 W 0.000 0.000 0.612
9 Se 0.667 0.333 0.569
10 Se 0.667 0.333 0.655
11 S 0.667 0.333 0.197
12 S 0.667 0.333 0.275